SnO | PBE | optimized geometry

## Properties
DFT total energy: -445.41 eV for the cell shown
E_form: -1.43 eV/atom

Lattice parameters (Å, degrees): 11.341 12.197 12.543 93.17 91.72 94.65
Space group P1 (No. 1)
Asymmetric unit:
1 Sn 0.000 0.000 0.000 [1 per cell]
2 Sn 0.000 0.773 0.529 [1 per cell]
3 Sn 0.016 0.923 0.252 [1 per cell]
4 Sn 0.020 0.037 0.687 [1 per cell]
5 Sn 0.060 0.315 0.875 [1 per cell]
6 Sn 0.077 0.217 0.370 [1 per cell]
7 Sn 0.101 0.593 0.773 [1 per cell]
8 Sn 0.176 0.715 0.268 [1 per cell]
9 Sn 0.194 0.191 0.115 [1 per cell]
10 Sn 0.243 0.533 0.016 [1 per cell]
11 Sn 0.255 0.830 0.919 [1 per cell]
12 Sn 0.281 0.832 0.675 [1 per cell]
13 Sn 0.285 0.132 0.839 [1 per cell]
14 Sn 0.291 0.016 0.428 [1 per cell]
15 Sn 0.296 0.370 0.677 [1 per cell]
16 Sn 0.296 0.575 0.495 [1 per cell]
17 Sn 0.322 0.940 0.163 [1 per cell]
18 Sn 0.363 0.334 0.374 [1 per cell]
19 Sn 0.469 0.025 0.687 [1 per cell]
20 Sn 0.472 0.780 0.329 [1 per cell]
21 Sn 0.495 0.669 0.045 [1 per cell]
22 Sn 0.497 0.158 0.019 [1 per cell]
23 Sn 0.499 0.647 0.712 [1 per cell]
24 Sn 0.560 0.354 0.795 [1 per cell]
25 Sn 0.568 0.898 0.872 [1 per cell]
26 Sn 0.583 0.441 0.540 [1 per cell]
27 Sn 0.633 0.491 0.239 [1 per cell]
28 Sn 0.671 0.902 0.587 [1 per cell]
29 Sn 0.719 0.035 0.136 [1 per cell]
30 Sn 0.741 0.298 0.363 [1 per cell]
31 Sn 0.745 0.721 0.381 [1 per cell]
32 Sn 0.760 0.212 0.660 [1 per cell]
33 Sn 0.770 0.232 0.971 [1 per cell]
34 Sn 0.781 0.513 0.960 [1 per cell]
35 Sn 0.803 0.786 0.846 [1 per cell]
36 Sn 0.815 0.557 0.670 [1 per cell]
37 Sn 0.824 0.744 0.116 [1 per cell]
38 Sn 0.877 0.038 0.447 [1 per cell]
39 Sn 0.975 0.494 0.393 [1 per cell]
40 Sn 0.992 0.469 0.148 [1 per cell]
41 O 0.019 0.143 0.505 [1 per cell]
42 O 0.055 0.660 0.390 [1 per cell]
43 O 0.089 0.425 0.017 [1 per cell]
44 O 0.128 0.892 0.614 [1 per cell]
45 O 0.151 0.162 0.733 [1 per cell]
46 O 0.165 0.574 0.167 [1 per cell]
47 O 0.176 0.446 0.816 [1 per cell]
48 O 0.182 0.662 0.922 [1 per cell]
49 O 0.191 0.991 0.277 [1 per cell]
50 O 0.201 0.233 0.955 [1 per cell]
51 O 0.230 0.667 0.628 [1 per cell]
52 O 0.264 0.183 0.397 [1 per cell]
53 O 0.324 0.710 0.391 [1 per cell]
54 O 0.359 0.116 0.127 [1 per cell]
55 O 0.382 0.278 0.791 [1 per cell]
56 O 0.419 0.754 0.175 [1 per cell]
57 O 0.419 0.940 0.313 [1 per cell]
58 O 0.431 0.336 0.530 [1 per cell]
59 O 0.435 0.789 0.941 [1 per cell]
60 O 0.457 0.476 0.736 [1 per cell]
61 O 0.475 0.594 0.546 [1 per cell]
62 O 0.572 0.001 0.015 [1 per cell]
63 O 0.573 0.380 0.359 [1 per cell]
64 O 0.585 0.644 0.316 [1 per cell]
65 O 0.615 0.441 0.937 [1 per cell]
66 O 0.620 0.841 0.417 [1 per cell]
67 O 0.643 0.072 0.620 [1 per cell]
68 O 0.661 0.195 0.114 [1 per cell]
69 O 0.684 0.651 0.726 [1 per cell]
70 O 0.719 0.294 0.525 [1 per cell]
71 O 0.730 0.675 0.971 [1 per cell]
72 O 0.786 0.491 0.350 [1 per cell]
73 O 0.841 0.384 0.047 [1 per cell]
74 O 0.854 0.096 0.033 [1 per cell]
75 O 0.862 0.500 0.820 [1 per cell]
76 O 0.888 0.854 0.006 [1 per cell]
77 O 0.904 0.596 0.079 [1 per cell]
78 O 0.958 0.079 0.297 [1 per cell]
79 O 0.971 0.892 0.415 [1 per cell]
80 O 0.999 0.980 0.840 [1 per cell]